Below is a relaxed Rb2SbAuCl6 crystal, with properties calculated at the GGA-PBE level.

Properties
Symmetry: Fm-3m (225)
Uncorrected energy (eV/f.u.): -31.8

Unit cell a=7.604 b=7.604 c=7.604 alpha=60.00 beta=60.00 gamma=60.00
Fractional positions:
Rb1 0.750 0.750 0.750
Rb2 0.250 0.250 0.250
Sb1 0.000 0.000 0.000
Au1 0.500 0.500 0.500
Cl1 0.752 0.248 0.248
Cl2 0.248 0.248 0.752
Cl3 0.248 0.752 0.752
Cl4 0.248 0.752 0.248
Cl5 0.752 0.248 0.752
Cl6 0.752 0.752 0.248